1.
VBO3 | GGA+U | relaxed

```
VBO3
1.0
4.2724 0.0101 3.6755
1.6925 3.9228 3.6755
0.0153 0.0101 5.6358
V B O
2 2 6
Direct
0.5000 0.5000 0.5000
0.0000 0.0000 0.0000
0.7500 0.7500 0.7500
0.2500 0.2500 0.2500
0.4540 0.0460 0.7500
0.7500 0.4540 0.0460
0.9540 0.2500 0.5460
0.5460 0.9540 0.2500
0.2500 0.5460 0.9540
0.0460 0.7500 0.4540
```

DFT formation energy ... -2.73 eV per atom
Crystal system ... trigonal
Total energy ... -8.10 eV per atom
Corrected total energy (MP2020 scheme) ... -8.8481 eV/atom

***

2.
V3BO5 | GGA+U | relaxed

```
V3BO5
1.0
3.1168 0.0000 0.0000
0.0000 9.5860 0.0000
0.0000 0.0000 12.7130
V B O
12 4 20
Direct
0.5000 0.0041 0.2208
0.5000 0.9959 0.7792
0.5000 0.4959 0.7208
0.5000 0.5041 0.2792
0.5000 0.0000 0.5000
0.5000 0.5000 0.0000
0.0000 0.2437 0.3876
0.0000 0.7563 0.6124
0.0000 0.2563 0.8876
0.0000 0.7437 0.1124
0.0000 0.0000 0.0000
0.0000 0.5000 0.5000
0.0000 0.2750 0.1403
0.0000 0.7250 0.8597
0.0000 0.2250 0.6403
0.0000 0.7750 0.3597
0.0000 0.3471 0.0449
0.0000 0.6529 0.9551
0.0000 0.1529 0.5449
0.0000 0.8471 0.4551
0.0000 0.1297 0.1414
0.0000 0.8703 0.8586
0.0000 0.3703 0.6414
0.0000 0.6297 0.3586
0.5000 0.1156 0.3607
0.5000 0.8844 0.6393
0.5000 0.3844 0.8607
0.5000 0.6156 0.1393
0.0000 0.3480 0.2354
0.0000 0.6520 0.7646
0.0000 0.1520 0.7354
0.0000 0.8480 0.2646
0.5000 0.3868 0.4221
0.5000 0.6132 0.5779
0.5000 0.1132 0.9221
0.5000 0.8868 0.0779
```

DFT formation energy ... -2.47 eV per atom
Crystal system ... orthorhombic
Magnetization ... 3.70 μB/f.u.
Total energy ... -8.04 eV per atom
Corrected total energy (MP2020 scheme) ... -8.9868 eV/atom

***

3.
V5B2O10 | GGA+U | relaxed

```
V5B2O10
1.0
-1.2526 2.8583 -0.1066
-7.3851 -3.0487 5.0310
5.9135 2.9826 10.4878
V B O
10 4 20
Direct
0.5000 0.0000 0.5000
0.5000 0.0159 0.7912
0.0000 0.2546 0.6111
0.0000 0.2454 0.1111
0.5000 0.4841 0.2912
0.5000 0.5000 0.0000
0.5000 0.5159 0.7088
0.0000 0.7546 0.8889
0.0000 0.7454 0.3889
0.5000 0.9841 0.2088
0.0000 0.2146 0.3562
0.0000 0.2854 0.8562
0.0000 0.7146 0.1438
0.0000 0.7854 0.6438
0.5000 0.1128 0.6483
0.5000 0.1208 0.0912
0.0000 0.1397 0.8450
0.0000 0.1518 0.4570
0.0000 0.1304 0.2635
0.0000 0.3696 0.7635
0.0000 0.3482 0.9570
0.0000 0.3603 0.3450
0.5000 0.3792 0.5912
0.5000 0.3872 0.1483
0.5000 0.6128 0.8517
0.5000 0.6208 0.4088
0.0000 0.6397 0.6550
0.0000 0.6518 0.0430
0.0000 0.6304 0.2365
0.0000 0.8696 0.7365
0.0000 0.8482 0.5430
0.0000 0.8603 0.1550
0.5000 0.8792 0.9088
0.5000 0.8872 0.3517
```

DFT formation energy ... -2.57 eV per atom
Crystal system ... orthorhombic
Magnetization ... 11.00 μB/f.u.
Total energy ... -8.04 eV per atom
Corrected total energy (MP2020 scheme) ... -8.9392 eV/atom

***

4.
VB6O6 | GGA+U | relaxed

```
VB6O6
1.0
1.0288 3.3005 -8.2999
-3.4475 2.1145 -4.4564
1.3190 11.1537 -0.1567
V B O
1 6 6
Direct
0.0000 0.0000 0.0000
0.6396 0.0000 0.5067
0.3604 0.0000 0.4933
0.6353 0.3309 0.9998
0.3647 0.6691 0.0002
0.9662 0.6691 0.9998
0.0338 0.3309 0.0002
0.4713 0.3165 0.5064
0.5287 0.6835 0.4936
0.7601 0.0000 0.0008
0.2122 0.3165 0.4936
0.2399 0.0000 0.9992
0.7878 0.6835 0.5064
```

DFT formation energy ... -0.71 eV per atom
Crystal system ... monoclinic
Magnetization ... 1.65 μB/f.u.
Total energy ... -6.33 eV per atom
Corrected total energy (MP2020 scheme) ... -6.7758 eV/atom